[1]
{
  "formula": "Rb2ZnP4H8O16",
  "functional": "PBE",
  "state": "relaxed",
  "formation_energy_ev_per_atom": -2.113,
  "total_magnetization_mub_per_cell": 0.0,
  "total_energy_ev_per_atom": -5.99,
  "lattice": [[-4.200, 3.776, -4.223], [0.637, -4.831, -5.677], [-7.165, -3.016, 0.414]],
  "species": ["O", "O", "O", "O", "O", "O", "O", "O", "O", "O", "O", "O", "O", "O", "O", "O", "H", "H", "H", "H", "H", "H", "H", "H", "Rb", "Rb", "P", "P", "P", "P", "Zn"],
  "fractional_positions": [[0.746, 0.654, 0.133], [0.809, 0.382, 0.889], [0.912, 0.766, 0.351], [0.766, 0.066, 0.825], [0.234, 0.934, 0.175], [0.254, 0.346, 0.867], [0.771, 0.325, 0.582], [0.088, 0.234, 0.649], [0.052, 0.715, 0.777], [0.765, 0.993, 0.153], [0.553, 0.788, 0.424], [0.235, 0.007, 0.847], [0.447, 0.212, 0.576], [0.948, 0.285, 0.223], [0.191, 0.618, 0.111], [0.229, 0.675, 0.418], [0.230, 0.969, 0.041], [0.885, 0.177, 0.205], [0.577, 0.262, 0.589], [0.423, 0.738, 0.411], [0.883, 0.308, 0.351], [0.117, 0.692, 0.649], [0.770, 0.031, 0.959], [0.115, 0.823, 0.795], [0.404, 0.282, 0.211], [0.596, 0.718, 0.789], [0.849, 0.259, 0.741], [0.739, 0.801, 0.251], [0.151, 0.741, 0.259], [0.261, 0.199, 0.749], [0.000, 0.500, 0.000]]
}


[2]
{
  "formula": "Sb2P4H3O16",
  "functional": "PBE",
  "state": "relaxed",
  "formation_energy_ev_per_atom": -2.106,
  "total_magnetization_mub_per_cell": 1.0,
  "total_energy_ev_per_atom": -6.44,
  "lattice": [[5.005, 0.000, 0.000], [-1.656, 7.473, 0.000], [-0.272, -0.247, 8.101]],
  "species": ["P", "P", "P", "P", "O", "O", "O", "O", "O", "O", "O", "O", "O", "O", "O", "O", "O", "O", "O", "O", "H", "H", "H", "Sb", "Sb"],
  "fractional_positions": [[0.610, 0.751, 0.847], [0.883, 0.749, 0.331], [0.384, 0.241, 0.152], [0.121, 0.256, 0.670], [0.805, 0.614, 0.835], [0.118, 0.834, 0.450], [0.344, 0.655, 0.927], [0.214, 0.397, 0.173], [0.738, 0.920, 0.955], [0.267, 0.440, 0.595], [0.654, 0.336, 0.070], [0.009, 0.301, 0.838], [0.336, 0.140, 0.693], [0.989, 0.702, 0.161], [0.557, 0.800, 0.669], [0.454, 0.209, 0.337], [0.232, 0.079, 0.057], [0.887, 0.170, 0.549], [0.737, 0.566, 0.409], [0.665, 0.862, 0.307], [0.543, 0.568, 0.410], [0.441, 0.421, 0.555], [0.939, 0.971, 0.987], [0.502, 0.004, 0.499], [0.999, 0.497, 0.004]]
}


[3]
{
  "formula": "ScP3H6O12",
  "functional": "PBE",
  "state": "relaxed",
  "formation_energy_ev_per_atom": -2.288,
  "total_magnetization_mub_per_cell": 0.0,
  "total_energy_ev_per_atom": -6.56,
  "lattice": [[9.198, -4.158, 0.000], [9.198, 4.158, 0.000], [7.319, 0.000, 6.952]],
  "species": ["H", "H", "H", "H", "H", "H", "H", "H", "H", "H", "H", "H", "P", "P", "P", "P", "P", "P", "O", "O", "O", "O", "O", "O", "O", "O", "O", "O", "O", "O", "O", "O", "O", "O", "O", "O", "O", "O", "O", "O", "O", "O", "Sc", "Sc"],
  "fractional_positions": [[0.921, 0.227, 0.378], [0.985, 0.433, 0.408], [0.933, 0.485, 0.908], [0.878, 0.727, 0.421], [0.421, 0.878, 0.727], [0.908, 0.933, 0.485], [0.227, 0.378, 0.921], [0.485, 0.908, 0.933], [0.408, 0.985, 0.433], [0.433, 0.408, 0.985], [0.378, 0.921, 0.227], [0.727, 0.421, 0.878], [0.019, 0.322, 0.666], [0.519, 0.166, 0.822], [0.166, 0.822, 0.519], [0.666, 0.019, 0.322], [0.322, 0.666, 0.019], [0.822, 0.519, 0.166], [0.734, 0.024, 0.134], [0.134, 0.734, 0.024], [0.917, 0.357, 0.319], [0.982, 0.449, 0.990], [0.482, 0.490, 0.949], [0.490, 0.949, 0.482], [0.314, 0.608, 0.204], [0.357, 0.319, 0.917], [0.949, 0.482, 0.490], [0.608, 0.204, 0.314], [0.990, 0.982, 0.449], [0.814, 0.704, 0.108], [0.819, 0.857, 0.417], [0.449, 0.990, 0.982], [0.234, 0.634, 0.524], [0.704, 0.108, 0.814], [0.024, 0.134, 0.734], [0.319, 0.917, 0.357], [0.524, 0.234, 0.634], [0.417, 0.819, 0.857], [0.634, 0.524, 0.234], [0.857, 0.417, 0.819], [0.108, 0.814, 0.704], [0.204, 0.314, 0.608], [0.919, 0.919, 0.919], [0.419, 0.419, 0.419]]
}


Copy entry 2 word for word.
{
  "formula": "Sb2P4H3O16",
  "functional": "PBE",
  "state": "relaxed",
  "formation_energy_ev_per_atom": -2.106,
  "total_magnetization_mub_per_cell": 1.0,
  "total_energy_ev_per_atom": -6.44,
  "lattice": [[5.005, 0.000, 0.000], [-1.656, 7.473, 0.000], [-0.272, -0.247, 8.101]],
  "species": ["P", "P", "P", "P", "O", "O", "O", "O", "O", "O", "O", "O", "O", "O", "O", "O", "O", "O", "O", "O", "H", "H", "H", "Sb", "Sb"],
  "fractional_positions": [[0.610, 0.751, 0.847], [0.883, 0.749, 0.331], [0.384, 0.241, 0.152], [0.121, 0.256, 0.670], [0.805, 0.614, 0.835], [0.118, 0.834, 0.450], [0.344, 0.655, 0.927], [0.214, 0.397, 0.173], [0.738, 0.920, 0.955], [0.267, 0.440, 0.595], [0.654, 0.336, 0.070], [0.009, 0.301, 0.838], [0.336, 0.140, 0.693], [0.989, 0.702, 0.161], [0.557, 0.800, 0.669], [0.454, 0.209, 0.337], [0.232, 0.079, 0.057], [0.887, 0.170, 0.549], [0.737, 0.566, 0.409], [0.665, 0.862, 0.307], [0.543, 0.568, 0.410], [0.441, 0.421, 0.555], [0.939, 0.971, 0.987], [0.502, 0.004, 0.499], [0.999, 0.497, 0.004]]
}